No. 1
## Nd3Dy (PBE)

Data for Nd3Dy after structural relaxation.

Results
Theoretical density (g/cm3): 7.10
Final energy (eV/atom): -4.70
E_form (kJ/mol of formula units): 11
E above lowest polymorph (kJ per mole of atoms): 1.88

a = 7.3307 Å, b = 7.3307 Å, c = 5.9858 Å
α = 90.00°, β = 90.00°, γ = 120.00°
Space group P6_3/mmc (No. 194)
Inequivalent atoms, fractional coordinates:
Nd: 0.1674 0.3347 0.2500 x6
Dy: 0.3333 0.6667 0.7500 x2

***

No. 2
## Sm2NiSn4 (PBE)

Data for Sm2NiSn4 after structural relaxation.

Results
Theoretical density (g/cm3): 7.97
Final energy (eV/atom): -5.07
E_form (kJ/mol of formula units): -407
E above lowest polymorph (kJ per mole of atoms): 1.19

a = 4.4996 Å, b = 4.4955 Å, c = 17.1880 Å
α = 90.00°, β = 90.00°, γ = 90.00°
Space group Amm2 (No. 38)
Inequivalent atoms, fractional coordinates:
Sm: 0.0000 0.0000 0.0000 x2
Sm: 0.5000 0.0000 0.2064 x2
Ni: 0.0000 0.0000 0.7926 x2
Sn: 0.0000 0.0000 0.3617 x2
Sn: 0.0000 0.0000 0.6496 x2
Sn: 0.5000 0.0000 0.5373 x2
Sn: 0.5000 0.0000 0.8624 x2

***

No. 3
## Nb3Ge (PBE)

Data for Nb3Ge after structural relaxation.

Results
Theoretical density (g/cm3): 8.18
Final energy (eV/atom): -8.89
E_form (kJ/mol of formula units): -60
E above lowest polymorph (kJ per mole of atoms): 15.60

a = 10.3543 Å, b = 10.3543 Å, c = 5.3255 Å
α = 90.00°, β = 90.00°, γ = 90.00°
Space group I4/mcm (No. 140)
Inequivalent atoms, fractional coordinates:
Nb: 0.0000 0.0000 0.2500 x4
Nb: 0.0000 0.5000 0.2500 x4
Nb: 0.0800 0.2294 0.0000 x16
Ge: 0.1623 0.3377 0.5000 x8

***

No. 4
## Ca3Lu (PBE)

Data for Ca3Lu after structural relaxation.

Results
Theoretical density (g/cm3): 3.23
Final energy (eV/atom): -2.49
E_form (kJ/mol of formula units): 57
E above lowest polymorph (kJ per mole of atoms): 0.00

a = 7.5067 Å, b = 7.5067 Å, c = 6.2142 Å
α = 90.00°, β = 90.00°, γ = 120.00°
Space group P6_3/mmc (No. 194)
Inequivalent atoms, fractional coordinates:
Ca: 0.1704 0.3408 0.2500 x6
Lu: 0.3333 0.6667 0.7500 x2